[1]
# TmCuPb

A geometry-optimized TmCuPb structure (r2SCAN, Materials Project).

Computed properties:
Energy relative to the elements: -470 meV per atom
Calculated volume: 21.60 Å³ per atom

a = 4.5347 Å, b = 4.5347 Å, c = 7.2768 Å
α = 90.00°, β = 90.00°, γ = 120.00°
Space group P6_3mc (No. 186)
One atom of each set of equivalent atoms:
Tm: 0.0000 0.0000 0.0000
Cu: 0.3333 0.6667 0.3346
Pb: 0.3333 0.6667 0.7301

=====

[2]
# Zr5CuPb3

A geometry-optimized Zr5CuPb3 structure (r2SCAN, Materials Project).

Computed properties:
Energy relative to the elements: -392 meV per atom
Calculated volume: 21.87 Å³ per atom

a = 8.7441 Å, b = 8.7441 Å, c = 5.9442 Å
α = 90.00°, β = 90.00°, γ = 120.00°
Space group P6_3/mcm (No. 193)
One atom of each set of equivalent atoms:
Zr: 0.0000 0.2561 0.2500
Zr: 0.3333 0.6667 0.0000
Cu: 0.0000 0.0000 0.0000
Pb: 0.0000 0.3876 0.7500

=====

[3]
# Cu3Pd2

A geometry-optimized Cu3Pd2 structure (r2SCAN, Materials Project).

Computed properties:
Energy relative to the elements: -106 meV per atom
Calculated volume: 12.90 Å³ per atom

a = 2.973 Å, b = 2.973 Å, c = 14.596 Å
α = 90.00°, β = 90.00°, γ = 90.00°
Space group P4/mmm (No. 123)
One atom of each set of equivalent atoms:
Cu: 0.000 0.000 0.000
Cu: 0.000 0.000 0.205
Cu: 0.000 0.000 0.411
Cu: 0.500 0.500 0.500
Pd: 0.500 0.500 0.103
Pd: 0.500 0.500 0.309

=====

[4]
# Pm2CuPd

A geometry-optimized Pm2CuPd structure (r2SCAN, Materials Project).

Computed properties:
Energy relative to the elements: -479 meV per atom
Calculated volume: 22.68 Å³ per atom

a = 7.132 Å, b = 7.132 Å, c = 7.132 Å
α = 90.00°, β = 90.00°, γ = 90.00°
Space group Fm-3m (No. 225)
One atom of each set of equivalent atoms:
Pm: 0.250 0.250 0.250
Cu: 0.000 0.000 0.000
Pd: 0.000 0.000 0.500

=====

[5]
# PrCu4Pd

A geometry-optimized PrCu4Pd structure (r2SCAN, Materials Project).

Computed properties:
Energy relative to the elements: -277 meV per atom
Calculated volume: 15.88 Å³ per atom

a = 5.1249 Å, b = 5.1249 Å, c = 4.1876 Å
α = 90.00°, β = 90.00°, γ = 120.00°
Space group P-6m2 (No. 187)
One atom of each set of equivalent atoms:
Pr: 0.0000 0.0000 0.0000
Cu: 0.5035 0.0071 0.5000
Cu: 0.6667 0.3333 0.0000
Pd: 0.3333 0.6667 0.0000

=====

[6]
# ScCuPd2

A geometry-optimized ScCuPd2 structure (r2SCAN, Materials Project).

Computed properties:
Energy relative to the elements: -630 meV per atom
Calculated volume: 15.31 Å³ per atom

a = 6.257 Å, b = 6.257 Å, c = 6.257 Å
α = 90.00°, β = 90.00°, γ = 90.00°
Space group Fm-3m (No. 225)
One atom of each set of equivalent atoms:
Sc: 0.000 0.000 0.000
Cu: 0.000 0.000 0.500
Pd: 0.250 0.250 0.250

=====

[7]
# Sc2CuPd

A geometry-optimized Sc2CuPd structure (r2SCAN, Materials Project).

Computed properties:
Energy relative to the elements: -584 meV per atom
Calculated volume: 17.51 Å³ per atom

a = 6.543 Å, b = 6.543 Å, c = 6.543 Å
α = 90.00°, β = 90.00°, γ = 90.00°
Space group Fm-3m (No. 225)
One atom of each set of equivalent atoms:
Sc: 0.250 0.250 0.250
Cu: 0.000 0.000 0.000
Pd: 0.000 0.000 0.500

=====

[8]
# Tm2CuPd

A geometry-optimized Tm2CuPd structure (r2SCAN, Materials Project).

Computed properties:
Energy relative to the elements: -631 meV per atom
Calculated volume: 19.89 Å³ per atom

a = 6.827 Å, b = 6.827 Å, c = 6.827 Å
α = 90.00°, β = 90.00°, γ = 90.00°
Space group Fm-3m (No. 225)
One atom of each set of equivalent atoms:
Tm: 0.250 0.250 0.250
Cu: 0.000 0.000 0.000
Pd: 0.000 0.000 0.500

=====

[9]
# YbCuPd2

A geometry-optimized YbCuPd2 structure (r2SCAN, Materials Project).

Computed properties:
Energy relative to the elements: -658 meV per atom
Calculated volume: 16.43 Å³ per atom

a = 6.405 Å, b = 6.405 Å, c = 6.405 Å
α = 90.00°, β = 90.00°, γ = 90.00°
Space group Fm-3m (No. 225)
One atom of each set of equivalent atoms:
Yb: 0.000 0.000 0.000
Cu: 0.000 0.000 0.500
Pd: 0.250 0.250 0.250

=====

[10]
# YbCu4Pd

A geometry-optimized YbCu4Pd structure (r2SCAN, Materials Project).

Computed properties:
Energy relative to the elements: -396 meV per atom
Calculated volume: 13.92 Å³ per atom

a = 6.939 Å, b = 6.939 Å, c = 6.939 Å
α = 90.00°, β = 90.00°, γ = 90.00°
Space group F-43m (No. 216)
One atom of each set of equivalent atoms:
Yb: 0.000 0.000 0.000
Cu: 0.124 0.124 0.376
Pd: 0.250 0.250 0.750

=====

[11]
# PmCu3

A geometry-optimized PmCu3 structure (r2SCAN, Materials Project).

Computed properties:
Energy relative to the elements: -117 meV per atom
Calculated volume: 17.48 Å³ per atom

a = 6.1563 Å, b = 6.1563 Å, c = 4.2592 Å
α = 90.00°, β = 90.00°, γ = 120.00°
Space group P6_3/mmc (No. 194)
One atom of each set of equivalent atoms:
Pm: 0.3333 0.6667 0.2500
Cu: 0.1330 0.2660 0.7500

=====

[12]
# Pm2CuRu

A geometry-optimized Pm2CuRu structure (r2SCAN, Materials Project).

Computed properties:
Energy relative to the elements: -218 meV per atom
Calculated volume: 21.50 Å³ per atom

a = 7.006 Å, b = 7.006 Å, c = 7.006 Å
α = 90.00°, β = 90.00°, γ = 90.00°
Space group Fm-3m (No. 225)
One atom of each set of equivalent atoms:
Pm: 0.250 0.250 0.250
Cu: 0.000 0.000 0.000
Ru: 0.000 0.000 0.500

=====

no.,M_tot (μB per formula unit),DFT total energy (Ry/atom)
1,0.0,-2.5397
2,0.0,-2.4252
3,0.0,-1.1612
4,0.0,-1.7420
5,0.0,-1.1933
6,0.0,-1.2989
7,0.0,-1.0830
8,0.0,-1.9583
9,0.0,-1.7627
10,0.0,-1.2893
11,0.0,-1.1493
12,0.0,-1.7681